1.
GGA-PBE PCl5, relaxed; DFT total energy = -3.02 eV per atom; space-group type = P4/n (85); volume = 722.40 Å³ per cell
1.0
9.7510 0.0000 0.0000
0.0000 9.7510 0.0000
0.0000 0.0000 7.5976
P Cl
4 20
Direct
0.2500 0.2500 0.1210 P
0.2500 0.7500 0.5000 P
0.7500 0.2500 0.5000 P
0.7500 0.7500 0.8790 P
0.0459 0.1618 0.1178 Cl
0.0931 0.7968 0.3506 Cl
0.1618 0.4541 0.1178 Cl
0.2032 0.5931 0.6494 Cl
0.2500 0.2500 0.4050 Cl
0.2500 0.2500 0.8316 Cl
0.2968 0.9069 0.6494 Cl
0.3382 0.0459 0.1178 Cl
0.4069 0.7032 0.3506 Cl
0.4541 0.3382 0.1178 Cl
0.5459 0.6618 0.8822 Cl
0.5931 0.2968 0.6494 Cl
0.6618 0.9541 0.8822 Cl
0.7032 0.0931 0.3506 Cl
0.7500 0.7500 0.1684 Cl
0.7500 0.7500 0.5950 Cl
0.7968 0.4069 0.3506 Cl
0.8382 0.5459 0.8822 Cl
0.9069 0.2032 0.6494 Cl
0.9541 0.8382 0.8822 Cl

2.
GGA-PBE PCl5, relaxed; DFT total energy = -3.01 eV per atom; space-group type = C2/m (12); volume = 512.77 Å³ per cell
1.0
7.6442 -4.3386 0.0000
7.6442 4.3386 0.0000
-5.0626 0.0000 7.7306
P Cl
3 15
Direct
0.0000 0.0000 0.0000 P
0.2399 0.2399 0.7238 P
0.7601 0.7601 0.2762 P
0.0333 0.6611 0.3330 Cl
0.1395 0.7868 0.8085 Cl
0.1613 0.1613 0.0742 Cl
0.2132 0.8605 0.1915 Cl
0.3048 0.3048 0.5893 Cl
0.3389 0.9667 0.6670 Cl
0.3518 0.3518 0.9712 Cl
0.5000 0.5000 0.5000 Cl
0.6482 0.6482 0.0288 Cl
0.6611 0.0333 0.3330 Cl
0.6952 0.6952 0.4107 Cl
0.7868 0.1395 0.8085 Cl
0.8387 0.8387 0.9258 Cl
0.8605 0.2132 0.1915 Cl
0.9667 0.3389 0.6670 Cl

3.
GGA-PBE Re2PCl, relaxed; DFT total energy = -6.93 eV per atom; space-group type = F-43m (216); volume = 244.07 Å³ per cell
1.0
6.2494 0.0000 0.0000
0.0000 6.2494 0.0000
0.0000 0.0000 6.2494
Re P Cl
8 4 4
Direct
0.0000 0.0000 0.0000 Re
0.0000 0.5000 0.5000 Re
0.2500 0.2500 0.2500 Re
0.2500 0.7500 0.7500 Re
0.5000 0.0000 0.5000 Re
0.5000 0.5000 0.0000 Re
0.7500 0.2500 0.7500 Re
0.7500 0.7500 0.2500 Re
0.2500 0.2500 0.7500 P
0.2500 0.7500 0.2500 P
0.7500 0.2500 0.2500 P
0.7500 0.7500 0.7500 P
0.0000 0.0000 0.5000 Cl
0.0000 0.5000 0.0000 Cl
0.5000 0.0000 0.0000 Cl
0.5000 0.5000 0.5000 Cl

What is the DFT total energy in the first record?
-3.02 eV per atom